# 1
This record from the Materials Project database describes a geometry-optimized K2AgAsF6 structure. The functional is PBE.

Calculated values
VASP energy: -4.255 eV/atom

```
data_K2AgAsF6
_chemical_formula_sum 'K8 Ag4 As4 F24'
_symmetry_space_group_name_H-M 'F m -3 m'
_symmetry_Int_Tables_number 225
_symmetry_space_group_name_Hall '-F 4 2 3'
_cell_length_a 8.953
_cell_length_b 8.953
_cell_length_c 8.953
_cell_angle_alpha 90.00
_cell_angle_beta 90.00
_cell_angle_gamma 90.00
loop_
_atom_site_label
_atom_site_fract_x
_atom_site_fract_y
_atom_site_fract_z
K1 0.250 0.250 0.250
Ag1 0.000 0.000 0.000
As1 0.000 0.000 0.500
F1 0.000 0.000 0.270
```



# 2
This record from the Materials Project database describes a geometry-optimized K2SbPO6 structure. The functional is PBE.

Calculated values
VASP energy: -6.135 eV/atom

```
data_K2SbPO6
_chemical_formula_sum 'K8 Sb4 P4 O24'
_symmetry_space_group_name_H-M 'P n m a'
_symmetry_Int_Tables_number 62
_symmetry_space_group_name_Hall '-P 2ac 2n'
_cell_length_a 9.577
_cell_length_b 5.986
_cell_length_c 11.254
_cell_angle_alpha 90.00
_cell_angle_beta 90.00
_cell_angle_gamma 90.00
loop_
_atom_site_label
_atom_site_fract_x
_atom_site_fract_y
_atom_site_fract_z
K1 0.118 0.250 0.160
K2 0.170 0.250 0.808
Sb1 0.000 0.000 0.500
P1 0.197 0.750 0.991
O1 0.000 0.250 0.382
O2 0.034 0.750 0.383
O3 0.070 0.750 0.072
O4 0.170 0.750 0.858
O5 0.211 0.035 0.527
```



# 3
This record from the Materials Project database describes a geometry-optimized Mg9Si5 structure. The functional is PBE.

Calculated values
VASP energy: -2.970 eV/atom
distance to the lowest polymorph of the same formula: 105 meV/atom

```
data_Mg9Si5
_chemical_formula_sum 'Mg18 Si10'
_symmetry_space_group_name_H-M 'P 1'
_symmetry_Int_Tables_number 1
_symmetry_space_group_name_Hall 'P 1'
_cell_length_a 7.176
_cell_length_b 7.271
_cell_length_c 12.809
_cell_angle_alpha 90.49
_cell_angle_beta 105.27
_cell_angle_gamma 119.03
loop_
_atom_site_label
_atom_site_fract_x
_atom_site_fract_y
_atom_site_fract_z
Mg1 0.000 0.000 0.000
Mg2 0.003 0.414 0.035
Mg3 0.004 0.211 0.515
Mg4 0.196 0.046 0.358
Mg5 0.202 0.327 0.846
Mg6 0.243 0.716 0.515
Mg7 0.344 0.363 0.194
Mg8 0.364 0.127 0.676
Mg9 0.487 0.838 0.844
Mg10 0.504 0.827 0.350
Mg11 0.513 0.477 0.508
Mg12 0.520 0.210 0.993
Mg13 0.600 0.641 0.051
Mg14 0.720 0.330 0.344
Mg15 0.739 0.573 0.849
Mg16 0.756 0.916 0.674
Mg17 0.782 0.063 0.180
Mg18 0.956 0.519 0.676
Si1 0.017 0.651 0.211
Si2 0.125 0.904 0.821
Si3 0.136 0.420 0.338
Si4 0.278 0.791 0.999
Si5 0.350 0.986 0.177
Si6 0.362 0.519 0.680
Si7 0.588 0.135 0.517
Si8 0.772 0.710 0.291
Si9 0.780 0.228 0.824
Si10 0.920 0.805 0.509
```